The following is a DFT calculation (PBE) of a geometry-optimized K2ScP2Se7 structure.

Lattice parameters (Å, degrees): 12.0330 12.0330 20.2012 67.25 67.25 33.53
Last column: nearest neighbours and their distance in Å.
Fractional coordinates of all 48 atoms:
K: 0.6120 0.9842 0.6688  6 Se 3.38-3.68
K: 0.0158 0.3880 0.8312  6 Se 3.38-3.68
K: 0.3880 0.0158 0.3312  6 Se 3.38-3.68
K: 0.9842 0.6120 0.1688  6 Se 3.38-3.68
K: 0.9702 0.0389 0.1419  6 Se 3.41-3.61
K: 0.9611 0.0298 0.3581  6 Se 3.41-3.61
K: 0.0298 0.9611 0.8581  6 Se 3.41-3.61
K: 0.0389 0.9702 0.6419  6 Se 3.41-3.61
Sc: 0.1661 0.4991 0.5015  6 Se 2.71-2.79
Sc: 0.5009 0.8339 0.9985  6 Se 2.71-2.79
Sc: 0.8339 0.5009 0.4985  6 Se 2.71-2.79
Sc: 0.4991 0.1661 0.0015  6 Se 2.71-2.79
P: 0.4332 0.4654 0.5431  3 Se 2.16-2.25, 1 P 2.29
P: 0.5346 0.5668 0.9569  3 Se 2.16-2.25, 1 P 2.29
P: 0.5668 0.5346 0.4569  3 Se 2.16-2.25, 1 P 2.29
P: 0.4654 0.4332 0.0431  3 Se 2.16-2.25, 1 P 2.29
P: 0.0862 0.2708 0.6418  4 Se 2.17-2.29
P: 0.7292 0.9138 0.8582  4 Se 2.17-2.29
P: 0.9138 0.7292 0.3582  4 Se 2.17-2.29
P: 0.2708 0.0862 0.1418  4 Se 2.17-2.29
Se: 0.1009 0.7526 0.5311  1 P 2.25
Se: 0.2474 0.8991 0.9689  1 P 2.25
Se: 0.8991 0.2474 0.4689  1 P 2.25
Se: 0.7526 0.1009 0.0311  1 P 2.25
Se: 0.5626 0.2233 0.4996  1 P 2.24
Se: 0.7767 0.4374 0.0004  1 P 2.24
Se: 0.4374 0.7767 0.5004  1 P 2.24
Se: 0.2233 0.5626 0.9996  1 P 2.24
Se: 0.2250 0.2090 0.5237  1 P 2.29
Se: 0.7910 0.7750 0.9763  1 P 2.29
Se: 0.7750 0.7910 0.4763  1 P 2.29
Se: 0.2090 0.2250 0.0237  1 P 2.29
Se: 0.0688 0.4676 0.6484  1 P 2.25
Se: 0.5324 0.9312 0.8516  1 P 2.25
Se: 0.9312 0.5324 0.3516  1 P 2.25
Se: 0.4676 0.0688 0.1484  1 P 2.25
Se: 0.2180 0.5550 0.3543  1 P 2.22
Se: 0.4450 0.7820 0.1457  1 P 2.22
Se: 0.7820 0.4450 0.6457  1 P 2.22
Se: 0.5550 0.2180 0.8543  1 P 2.22
Se: 0.4964 0.3852 0.6509  1 P 2.16
Se: 0.6148 0.5036 0.8491  1 P 2.16
Se: 0.5036 0.6148 0.3491  1 P 2.16
Se: 0.3852 0.4964 0.1509  1 P 2.16
Se: 0.7230 0.0053 0.2825  1 P 2.17
Se: 0.9947 0.2770 0.2175  1 P 2.17
Se: 0.2770 0.9947 0.7175  1 P 2.17
Se: 0.0053 0.7230 0.7825  1 P 2.17

Values from the calculation:
- calculated total energy (eV per atom) = -4.462